Below is Pm2S3 after structural relaxation, with properties calculated at the GGA-PBE level.

Mass density ... 4.62 g cm⁻³
Space group ... R-3c (167)
Raw total energy ... -6.403 eV per atom

abc: 7.5223 7.5223 7.5223
angles: 56.66 56.66 56.66
Fractional coordinates of all 10 atoms:
Pm1 0.8530 0.8530 0.8530
Pm2 0.6470 0.6470 0.6470
Pm3 0.3530 0.3530 0.3530
Pm4 0.1470 0.1470 0.1470
S1 0.9536 0.2500 0.5464
S2 0.2500 0.5464 0.9536
S3 0.5464 0.9536 0.2500
S4 0.4536 0.0464 0.7500
S5 0.7500 0.4536 0.0464
S6 0.0464 0.7500 0.4536

---

Below is U5O11 after structural relaxation, with properties calculated at the GGA-PBE level.

Mass density ... 11.40 g cm⁻³
Space group ... C2/m (12)
Raw total energy ... -10.070 eV per atom
Total magnetization ... 6.8 μB per formula unit

abc: 3.8336 3.8336 15.7282
angles: 82.99 82.99 60.37
Fractional coordinates of all 16 atoms:
U1 0.2974 0.2974 0.5897
U2 0.8956 0.8956 0.7987
U3 0.5000 0.5000 0.0000
U4 0.1044 0.1044 0.2013
U5 0.7026 0.7026 0.4103
O1 0.9380 0.9380 0.6636
O2 0.2424 0.2424 0.7557
O3 0.5452 0.5452 0.8517
O4 0.8488 0.8488 0.9509
O5 0.7576 0.7576 0.2443
O6 0.1512 0.1512 0.0491
O7 0.4548 0.4548 0.1483
O8 0.3573 0.3573 0.4329
O9 0.0620 0.0620 0.3364
O10 0.0000 0.0000 0.5000
O11 0.6427 0.6427 0.5671

---

Below is Zr2P3H4NO12 after structural relaxation, with properties calculated at the GGA-PBE level.

Mass density ... 2.91 g cm⁻³
Piezoelectric modulus e_max ... 0.5 C/m²
Space group ... R3c (161)
Raw total energy ... -7.421 eV per atom
Total magnetization ... 0.0 μB per formula unit

abc: 9.6811 9.6811 9.6811
angles: 54.14 54.14 54.14
Fractional coordinates of all 44 atoms:
Zr1 0.1514 0.1514 0.1514
Zr2 0.3495 0.3495 0.3495
Zr3 0.6514 0.6514 0.6514
Zr4 0.8495 0.8495 0.8495
P1 0.7486 0.0372 0.4669
P2 0.0372 0.4669 0.7486
P3 0.4669 0.7486 0.0372
P4 0.5372 0.2486 0.9669
P5 0.9669 0.5372 0.2486
P6 0.2486 0.9669 0.5372
H1 0.4640 0.4640 0.4640
H2 0.6463 0.4548 0.4607
H3 0.4548 0.4607 0.6463
H4 0.4607 0.6463 0.4548
H5 0.9548 0.1463 0.9607
H6 0.9607 0.9548 0.1463
H7 0.1463 0.9607 0.9548
H8 0.9640 0.9640 0.9640
N1 0.0055 0.0055 0.0055
N2 0.5055 0.5055 0.5055
O1 0.2466 0.1398 0.5135
O2 0.5135 0.2466 0.1398
O3 0.1398 0.5135 0.2466
O4 0.9235 0.0728 0.3027
O5 0.5761 0.2019 0.4284
O6 0.7466 0.0135 0.6398
O7 0.0728 0.3027 0.9235
O8 0.2019 0.4284 0.5761
O9 0.4284 0.5761 0.2019
O10 0.7019 0.0761 0.9284
O11 0.3644 0.2514 0.9879
O12 0.0135 0.6398 0.7466
O13 0.9879 0.3644 0.2514
O14 0.6398 0.7466 0.0135
O15 0.3027 0.9235 0.0728
O16 0.5728 0.4235 0.8027
O17 0.8027 0.5728 0.4235
O18 0.9284 0.7019 0.0761
O19 0.2514 0.9879 0.3644
O20 0.4235 0.8027 0.5728
O21 0.0761 0.9284 0.7019
O22 0.8644 0.4879 0.7514
O23 0.4879 0.7514 0.8644
O24 0.7514 0.8644 0.4879

---

Below is YU3 after structural relaxation, with properties calculated at the GGA-PBE level.

Mass density ... 14.42 g cm⁻³
Space group ... I4/mmm (139)
Raw total energy ... -9.510 eV per atom
Total magnetization ... 2.7 μB per formula unit

abc: 5.6953 5.6953 5.6953
angles: 134.51 134.51 66.29
Fractional coordinates of all 4 atoms:
Y1 0.0000 0.0000 0.0000
U1 0.7500 0.2500 0.5000
U2 0.2500 0.7500 0.5000
U3 0.5000 0.5000 0.0000

---

Below is TbInCo2 after structural relaxation, with properties calculated at the GGA-PBE level.

Mass density ... 8.94 g cm⁻³
Space group ... Pmma (51)
Raw total energy ... -5.650 eV per atom
Total magnetization ... 2.3 μB per formula unit

abc: 4.0269 5.0437 7.1632
angles: 90.00 90.00 90.00
Fractional coordinates of all 8 atoms:
Tb1 0.5000 0.7500 0.2788
Tb2 0.5000 0.2500 0.7212
In1 0.0000 0.7500 0.6514
In2 0.0000 0.2500 0.3486
Co1 0.5000 0.2500 0.0893
Co2 0.5000 0.7500 0.9107
Co3 0.0000 0.5000 0.0000
Co4 0.0000 0.0000 0.0000

---

Below is Mg14AlC after structural relaxation, with properties calculated at the GGA-PBE level.

ΔE to the lowest computed polymorph ... 0.000 eV/f.u.
Mass density ... 1.84 g cm⁻³
Space group ... Amm2 (38)
Total magnetization ... 0.0 μB per formula unit

abc: 6.3166 6.5196 9.7058
angles: 90.00 90.00 121.07
Fractional coordinates of all 16 atoms:
Mg1 0.1759 0.3380 0.6250
Mg2 0.1742 0.8371 0.6250
Mg3 0.7367 0.3762 0.1250
Mg4 0.6629 0.3358 0.6250
Mg5 0.7367 0.8606 0.1250
Mg6 0.6629 0.8271 0.6250
Mg7 0.3203 0.1449 0.3403
Mg8 0.3203 0.1449 0.9097
Mg9 0.3203 0.6754 0.3403
Mg10 0.3203 0.6754 0.9097
Mg11 0.8335 0.1667 0.3755
Mg12 0.8335 0.1667 0.8745
Mg13 0.8431 0.6716 0.3659
Mg14 0.8431 0.6716 0.8841
Al1 0.1765 0.3382 0.1250
C1 0.0399 0.7699 0.1250

---

Below is UTeSe after structural relaxation, with properties calculated at the GGA-PBE level.

ΔE to the lowest computed polymorph ... 0.355 eV/f.u.
Mass density ... 8.58 g cm⁻³
Space group ... Pnma (62)
Total magnetization ... 1.9 μB per formula unit

abc: 3.6451 7.2325 13.0532
angles: 90.00 90.00 90.00
Fractional coordinates of all 12 atoms:
U1 0.2500 0.5919 0.2522
U2 0.7500 0.4081 0.7478
U3 0.7500 0.9081 0.7522
U4 0.2500 0.0919 0.2478
Te1 0.2500 0.6592 0.6049
Te2 0.7500 0.3408 0.3951
Te3 0.7500 0.8408 0.1049
Te4 0.2500 0.1592 0.8951
Se1 0.2500 0.6551 0.8616
Se2 0.7500 0.3449 0.1384
Se3 0.7500 0.8449 0.3616
Se4 0.2500 0.1551 0.6384

---

Below is GdSiO3 after structural relaxation, with properties calculated at the GGA-PBE level.

Mass density ... 7.46 g cm⁻³
Space group ... Pm-3m (221)
Raw total energy ... -9.339 eV per atom
Total magnetization ... 6.6 μB per formula unit

abc: 3.7303 3.7303 3.7303
angles: 90.00 90.00 90.00
Fractional coordinates of all 5 atoms:
Gd1 0.0000 0.0000 0.0000
Si1 0.5000 0.5000 0.5000
O1 0.5000 0.5000 0.0000
O2 0.5000 0.0000 0.5000
O3 0.0000 0.5000 0.5000

---

Below is PaGaAu2 after structural relaxation, with properties calculated at the GGA-PBE level.

Mass density ... 13.85 g cm⁻³
Space group ... Fm-3m (225)
Raw total energy ... -5.169 eV per atom

abc: 4.9019 4.9019 4.9019
angles: 60.00 60.00 60.00
Fractional coordinates of all 4 atoms:
Pa1 0.5000 0.5000 0.5000
Ga1 0.0000 0.0000 0.0000
Au1 0.2500 0.2500 0.2500
Au2 0.7500 0.7500 0.7500

---

Below is PrY after structural relaxation, with properties calculated at the GGA-PBE level.

Mass density ... 5.56 g cm⁻³
Space group ... R3m (160)
Raw total energy ... -5.595 eV per atom

abc: 17.7952 17.7952 17.7952
angles: 11.84 11.84 11.84
Fractional coordinates of all 6 atoms:
Pr1 0.0014 0.0014 0.0014
Pr2 0.4996 0.4996 0.4996
Pr3 0.6104 0.6104 0.6104
Y1 0.1106 0.1106 0.1106
Y2 0.8883 0.8883 0.8883
Y3 0.3897 0.3897 0.3897

---

Below is AlV2C after structural relaxation, with properties calculated at the GGA-PBE level.

Mass density ... 4.87 g cm⁻³
Space group ... P6_3/mmc (194)
Raw total energy ... -8.301 eV per atom

abc: 2.9096 2.9096 13.0972
angles: 90.00 90.00 120.00
Fractional coordinates of all 8 atoms:
Al1 0.3333 0.6667 0.7500
Al2 0.6667 0.3333 0.2500
V1 0.3333 0.6667 0.4144
V2 0.6667 0.3333 0.5856
V3 0.6667 0.3333 0.9144
V4 0.3333 0.6667 0.0856
C1 0.0000 0.0000 0.5000
C2 0.0000 0.0000 0.0000

---

Below is HoCu after structural relaxation, with properties calculated at the GGA-PBE level.

Mass density ... 9.25 g cm⁻³
Space group ... Pm-3m (221)
Raw total energy ... -4.608 eV per atom

abc: 3.4482 3.4482 3.4482
angles: 90.00 90.00 90.00
Fractional coordinates of all 2 atoms:
Ho1 0.5000 0.5000 0.5000
Cu1 0.0000 0.0000 0.0000

---

Below is Na4Cd3H2C4O14 after structural relaxation, with properties calculated at the GGA-PBE level.

Mass density ... 3.68 g cm⁻³
Space group ... P2_1/c (14)
Raw total energy ... -5.961 eV per atom
Total magnetization ... 0.0 μB per formula unit

abc: 3.4991 9.4529 19.4130
angles: 80.86 90.00 90.00
Fractional coordinates of all 54 atoms:
Na1 0.9519 0.5423 0.1738
Na2 0.4519 0.4577 0.3262
Na3 0.0481 0.4577 0.8262
Na4 0.5481 0.5423 0.6738
Na5 0.7438 0.6430 0.4499
Na6 0.2438 0.3570 0.0501
Na7 0.2562 0.3570 0.5501
Na8 0.7562 0.6430 0.9499
Cd1 0.0000 0.0000 0.0000
Cd2 0.5000 0.0000 0.5000
Cd3 0.5576 0.9181 0.1799
Cd4 0.0576 0.0819 0.3201
Cd5 0.4424 0.0819 0.8201
Cd6 0.9424 0.9181 0.6799
H1 0.9777 0.1156 0.1206
H2 0.4777 0.8844 0.3794
H3 0.0223 0.8844 0.8794
H4 0.5223 0.1156 0.6206
C1 0.3964 0.7137 0.0663
C2 0.8964 0.2863 0.4337
C3 0.6036 0.2863 0.9337
C4 0.1036 0.7137 0.5663
C5 0.0805 0.7318 0.3043
C6 0.5805 0.2682 0.1957
C7 0.9195 0.2682 0.6957
C8 0.4195 0.7318 0.8043
O1 0.9435 0.6238 0.2807
O2 0.4435 0.3762 0.2193
O3 0.0565 0.3762 0.7193
O4 0.5565 0.6238 0.7807
O5 0.4943 0.8235 0.0189
O6 0.9943 0.1765 0.4811
O7 0.5057 0.1765 0.9811
O8 0.0057 0.8235 0.5189
O9 0.0547 0.8624 0.2651
O10 0.5547 0.1376 0.2349
O11 0.9453 0.1376 0.7349
O12 0.4453 0.8624 0.7651
O13 0.0510 0.0173 0.1132
O14 0.5510 0.9827 0.3868
O15 0.9490 0.9827 0.8868
O16 0.4490 0.0173 0.6132
O17 0.4586 0.7134 0.1323
O18 0.9586 0.2866 0.3677
O19 0.5414 0.2866 0.8677
O20 0.0414 0.7134 0.6323
O21 0.2374 0.6041 0.0460
O22 0.7374 0.3959 0.4540
O23 0.7626 0.3959 0.9540
O24 0.2626 0.6041 0.5460
O25 0.2450 0.7203 0.3645
O26 0.7450 0.2797 0.1355
O27 0.7550 0.2797 0.6355
O28 0.2550 0.7203 0.8645

---

Below is MgTiBiO5 after structural relaxation, with properties calculated at the GGA-PBE level.

ΔE to the lowest computed polymorph ... 0.000 eV/f.u.
Mass density ... 5.21 g cm⁻³
Space group ... P2_1/c (14)
Total magnetization ... 0.0 μB per formula unit

abc: 10.8522 5.3720 8.4382
angles: 69.48 90.00 90.00
Fractional coordinates of all 32 atoms:
Mg1 0.0903 0.5387 0.8321
Mg2 0.9097 0.4613 0.1679
Mg3 0.5903 0.4613 0.6679
Mg4 0.4097 0.5387 0.3321
Ti1 0.3787 0.1465 0.0476
Ti2 0.6213 0.8535 0.9524
Ti3 0.8787 0.8535 0.4524
Ti4 0.1213 0.1465 0.5476
Bi1 0.8955 0.0411 0.8412
Bi2 0.1045 0.9589 0.1588
Bi3 0.6045 0.0411 0.3412
Bi4 0.3955 0.9589 0.6588
O1 0.9580 0.8441 0.6552
O2 0.0464 0.3122 0.6811
O3 0.8019 0.1761 0.3259
O4 0.4653 0.7496 0.4937
O5 0.7280 0.6948 0.5156
O6 0.7720 0.6948 0.0156
O7 0.4536 0.3122 0.1811
O8 0.5464 0.6878 0.8189
O9 0.5347 0.2504 0.5063
O10 0.4580 0.1559 0.8448
O11 0.2720 0.3052 0.4844
O12 0.0420 0.1559 0.3448
O13 0.5420 0.8441 0.1552
O14 0.2280 0.3052 0.9844
O15 0.9653 0.2504 0.0063
O16 0.0347 0.7496 0.9937
O17 0.1981 0.8239 0.6741
O18 0.9536 0.6878 0.3189
O19 0.3019 0.8239 0.1741
O20 0.6981 0.1761 0.8259

---

Below is K4BaSi3O9 after structural relaxation, with properties calculated at the GGA-PBE level.

ΔE to the lowest computed polymorph ... 0.230 eV/f.u.
Mass density ... 3.15 g cm⁻³
Space group ... Ama2 (40)
Total magnetization ... 0.0 μB per formula unit

abc: 7.2724 7.2724 11.3035
angles: 90.00 90.00 113.11
Fractional coordinates of all 34 atoms:
K1 0.2819 0.8080 0.7500
K2 0.1920 0.7181 0.2500
K3 0.9772 0.0228 0.0000
K4 0.9772 0.0228 0.5000
K5 0.4818 0.5182 0.0000
K6 0.4818 0.5182 0.5000
K7 0.2844 0.3010 0.7500
K8 0.6990 0.7156 0.2500
Ba1 0.7685 0.2249 0.7500
Ba2 0.7751 0.2315 0.2500
Si1 0.8131 0.7365 0.7500
Si2 0.2635 0.1869 0.2500
Si3 0.0049 0.5765 0.9779
Si4 0.4235 0.9951 0.0221
Si5 0.0049 0.5765 0.5221
Si6 0.4235 0.9951 0.4779
O1 0.5748 0.6739 0.7500
O2 0.3261 0.4252 0.2500
O3 0.9522 0.9730 0.7500
O4 0.0270 0.0478 0.2500
O5 0.8759 0.6296 0.8675
O6 0.3704 0.1241 0.1325
O7 0.8759 0.6296 0.6325
O8 0.3704 0.1241 0.3675
O9 0.8722 0.5366 0.0971
O10 0.4634 0.1278 0.9029
O11 0.8722 0.5366 0.4029
O12 0.4634 0.1278 0.5971
O13 0.2122 0.7878 0.0000
O14 0.2122 0.7878 0.5000
O15 0.0683 0.4018 0.9264
O16 0.5982 0.9317 0.0736
O17 0.0683 0.4018 0.5736
O18 0.5982 0.9317 0.4264

---

Below is Li3Tl after structural relaxation, with properties calculated at the GGA-PBE level.

Mass density ... 5.01 g cm⁻³
Space group ... Fm-3m (225)
Raw total energy ... -2.252 eV per atom

abc: 4.7263 4.7263 4.7263
angles: 60.00 60.00 60.00
Fractional coordinates of all 4 atoms:
Li1 0.7500 0.7500 0.7500
Li2 0.5000 0.5000 0.5000
Li3 0.2500 0.2500 0.2500
Tl1 0.0000 0.0000 0.0000

---

Below is Ba4CoN4 after structural relaxation, with properties calculated at the GGA-PBE level.

Mass density ... 5.35 g cm⁻³
Space group ... P-1 (2)
Raw total energy ... -5.631 eV per atom
Total magnetization ... 0.0 μB per formula unit

abc: 7.3335 6.8012 9.7034
angles: 74.55 67.91 68.43
Fractional coordinates of all 18 atoms:
Ba1 0.8111 0.6073 0.1574
Ba2 0.1889 0.3927 0.8426
Ba3 0.6793 0.1734 0.0306
Ba4 0.3207 0.8266 0.9694
Ba5 0.7725 0.4360 0.6503
Ba6 0.2275 0.5640 0.3497
Ba7 0.2435 0.9403 0.5503
Ba8 0.7565 0.0597 0.4497
Co1 0.8167 0.8157 0.7856
Co2 0.1833 0.1843 0.2144
N1 0.9748 0.7281 0.6023
N2 0.0252 0.2719 0.3977
N3 0.9911 0.8455 0.8633
N4 0.0089 0.1545 0.1367
N5 0.7432 0.5804 0.9005
N6 0.2568 0.4196 0.0995
N7 0.3899 0.9486 0.2318
N8 0.6101 0.0514 0.7682